Record 1
## Sm7Al7Co6 (r²SCAN)

Data for Sm7Al7Co6 after structural relaxation.

a = 4.1428 Å, b = 13.5893 Å, c = 13.5893 Å
α = 90.00°, β = 90.00°, γ = 90.00°
Fractional positions:
Sm 0.5000 0.6315 0.1315
Sm 0.5000 0.3685 0.8685
Sm 0.5000 0.8685 0.6315
Sm 0.5000 0.1315 0.3685
Sm 0.0000 0.2611 0.0476
Sm 0.0000 0.7389 0.9524
Sm 0.0000 0.9524 0.2611
Sm 0.0000 0.2389 0.5476
Sm 0.0000 0.0476 0.7389
Sm 0.0000 0.7611 0.4524
Sm 0.0000 0.5476 0.7611
Sm 0.0000 0.4524 0.2389
Sm 0.0000 0.0000 0.0000
Sm 0.0000 0.5000 0.5000
Al 0.5000 0.2141 0.7141
Al 0.5000 0.7859 0.2859
Al 0.5000 0.2859 0.2141
Al 0.5000 0.7141 0.7859
Al 0.0000 0.0000 0.5000
Al 0.0000 0.5000 0.0000
Al 0.5000 0.0977 0.1386
Al 0.5000 0.9023 0.8614
Al 0.5000 0.8614 0.0977
Al 0.5000 0.4023 0.6386
Al 0.5000 0.1386 0.9023
Al 0.5000 0.5977 0.3614
Al 0.5000 0.6386 0.5977
Al 0.5000 0.3614 0.4023
Co 0.5000 0.0727 0.5727
Co 0.5000 0.9273 0.4273
Co 0.5000 0.4273 0.0727
Co 0.5000 0.5727 0.9273
Co 0.0000 0.1637 0.2118
Co 0.0000 0.8363 0.7882
Co 0.0000 0.7882 0.1637
Co 0.0000 0.3363 0.7118
Co 0.0000 0.2118 0.8363
Co 0.0000 0.6637 0.2882
Co 0.0000 0.7118 0.6637
Co 0.0000 0.2882 0.3363

Results
VASP energy   -17.091 eV/atom
Energy of formation from the pure elements   -358 meV per atom
SG   P4/mbm, No. 127
Size of the total moment   0.0 μB/cell
Volume   19.126 A^3/atom

Record 2
## SrAl9Co2 (r²SCAN)

Data for SrAl9Co2 after structural relaxation.

a = 7.8430 Å, b = 7.8430 Å, c = 3.8974 Å
α = 90.00°, β = 90.00°, γ = 120.00°
Fractional positions:
Sr 0.0000 0.0000 0.0000
Al 0.5000 0.0000 0.0000
Al 0.5000 0.5000 0.0000
Al 0.0000 0.5000 0.0000
Al 0.2153 0.4306 0.5000
Al 0.7847 0.2153 0.5000
Al 0.4306 0.2153 0.5000
Al 0.5694 0.7847 0.5000
Al 0.2153 0.7847 0.5000
Al 0.7847 0.5694 0.5000
Co 0.3333 0.6667 0.0000
Co 0.6667 0.3333 0.0000

Results
VASP energy   -8.924 eV/atom
Energy of formation from the pure elements   -408 meV per atom
SG   P6/mmm, No. 191
Size of the total moment   0.0 μB/cell
Volume   17.302 A^3/atom

Record 3
## Ti13Al9Co8 (r²SCAN)

Data for Ti13Al9Co8 after structural relaxation.

a = 8.4318 Å, b = 8.4318 Å, c = 8.4317 Å
α = 59.84°, β = 59.84°, γ = 59.84°
Fractional positions:
Ti 0.2057 0.2057 0.7941
Ti 0.7941 0.2057 0.2057
Ti 0.2057 0.7941 0.2057
Ti 0.8013 0.8013 0.1848
Ti 0.1848 0.8013 0.8013
Ti 0.8013 0.1848 0.8013
Ti 0.3805 0.3805 0.3805
Ti 0.3811 0.8604 0.3811
Ti 0.8604 0.3811 0.3811
Ti 0.3811 0.3811 0.8604
Ti 0.8427 0.4733 0.8427
Ti 0.4733 0.8427 0.8427
Ti 0.8427 0.8427 0.4733
Al 0.1595 0.1595 0.1595
Al 0.1622 0.5171 0.1621
Al 0.5171 0.1621 0.1621
Al 0.1621 0.1621 0.5171
Al 0.6192 0.6192 0.6192
Al 0.6197 0.1444 0.6197
Al 0.1445 0.6197 0.6197
Al 0.6197 0.6197 0.1445
Al 0.8289 0.8289 0.8289
Co 0.0036 0.0036 0.4973
Co 0.4973 0.0036 0.0036
Co 0.0036 0.4973 0.0036
Co 0.4998 0.4998 0.0026
Co 0.0026 0.4998 0.4998
Co 0.4998 0.0026 0.4998
Co 0.5013 0.5013 0.5013
Co 0.0046 0.0046 0.0046

Results
VASP energy   -11.655 eV/atom
Energy of formation from the pure elements   -500 meV per atom
SG   R3m, No. 160
Size of the total moment   1.0 μB/cell
Volume   14.078 A^3/atom

Record 4
## Zr6Al2Co (r²SCAN)

Data for Zr6Al2Co after structural relaxation.

a = 7.9269 Å, b = 7.9270 Å, c = 3.3284 Å
α = 90.00°, β = 90.00°, γ = 120.00°
Fractional positions:
Zr 0.5984 0.0000 0.0000
Zr 0.4016 0.4015 0.0000
Zr 0.0000 0.5985 0.0000
Zr 0.2488 0.0000 0.5000
Zr 0.7512 0.7512 0.5000
Zr 0.0000 0.2488 0.5000
Al 0.6666 0.3333 0.5000
Al 0.3333 0.6667 0.5000
Co 0.0000 0.0000 0.0000

Results
VASP energy   -18.479 eV/atom
Energy of formation from the pure elements   -346 meV per atom
SG   P-62m, No. 189
Size of the total moment   0.0 μB/cell
Volume   20.125 A^3/atom

Record 5
## Al3Cr (r²SCAN)

Data for Al3Cr after structural relaxation.

a = 4.8361 Å, b = 4.8361 Å, c = 4.8361 Å
α = 133.75°, β = 133.75°, γ = 67.48°
Fractional positions:
Al 0.7500 0.2500 0.5000
Al 0.2500 0.7500 0.5000
Al 0.5000 0.5000 0.0000
Cr 0.0000 0.0000 0.0000

Results
VASP energy   -8.974 eV/atom
Energy of formation from the pure elements   -157 meV per atom
SG   I4/mmm, No. 139
Size of the total moment   2.1 μB/cell
Volume   14.508 A^3/atom

Record 6
## Dy6Al43Cr4 (r²SCAN)

Data for Dy6Al43Cr4 after structural relaxation.

a = 10.8473 Å, b = 10.8475 Å, c = 17.5637 Å
α = 90.00°, β = 90.00°, γ = 120.00°
Fractional positions:
Dy 0.4684 0.4684 0.9043
Dy 0.5316 0.0000 0.9043
Dy 0.0000 0.5316 0.9043
Dy 0.5316 0.5316 0.0957
Dy 0.4684 0.0000 0.0957
Dy 0.0000 0.4684 0.0957
Dy 0.5316 0.5316 0.4043
Dy 0.4684 0.0000 0.4043
Dy 0.0000 0.4684 0.4043
Dy 0.4684 0.4684 0.5957
Dy 0.5316 0.0000 0.5957
Dy 0.0000 0.5316 0.5957
Al 0.8428 0.2334 0.8345
Al 0.7666 0.6094 0.8345
Al 0.3906 0.1572 0.8345
Al 0.2334 0.8428 0.8345
Al 0.6094 0.7666 0.8345
Al 0.1572 0.3906 0.8345
Al 0.1572 0.7666 0.1655
Al 0.2334 0.3906 0.1655
Al 0.6094 0.8428 0.1655
Al 0.7666 0.1572 0.1655
Al 0.3906 0.2334 0.1655
Al 0.8428 0.6094 0.1655
Al 0.1572 0.7666 0.3345
Al 0.2334 0.3906 0.3345
Al 0.6094 0.8428 0.3345
Al 0.7666 0.1572 0.3345
Al 0.3906 0.2334 0.3345
Al 0.8428 0.6094 0.3345
Al 0.8428 0.2334 0.6655
Al 0.7666 0.6094 0.6655
Al 0.3906 0.1572 0.6655
Al 0.2334 0.8428 0.6655
Al 0.6094 0.7666 0.6655
Al 0.1572 0.3906 0.6655
Al 0.8465 0.8466 0.3829
Al 0.1535 0.0000 0.3829
Al 0.0000 0.1534 0.3829
Al 0.1535 0.1534 0.6171
Al 0.8465 0.0000 0.6171
Al 0.0000 0.8466 0.6171
Al 0.1535 0.1534 0.8829
Al 0.8465 0.0000 0.8829
Al 0.0000 0.8466 0.8829
Al 0.8465 0.8466 0.1171
Al 0.1535 0.0000 0.1171
Al 0.0000 0.1534 0.1171
Al 0.7509 0.7509 0.9700
Al 0.2491 0.0000 0.9700
Al 0.0000 0.2491 0.9700
Al 0.2491 0.2491 0.0300
Al 0.7509 0.0000 0.0300
Al 0.0000 0.7509 0.0300
Al 0.2491 0.2491 0.4700
Al 0.7509 0.0000 0.4700
Al 0.0000 0.7509 0.4700
Al 0.7509 0.7509 0.5300
Al 0.2491 0.0000 0.5300
Al 0.0000 0.2491 0.5300
Al 0.8514 0.4503 0.7500
Al 0.5497 0.4011 0.7500
Al 0.5989 0.1486 0.7500
Al 0.4503 0.8514 0.7500
Al 0.4011 0.5497 0.7500
Al 0.1486 0.5989 0.7500
Al 0.1486 0.5497 0.2500
Al 0.4503 0.5989 0.2500
Al 0.4011 0.8514 0.2500
Al 0.5497 0.1486 0.2500
Al 0.5989 0.4503 0.2500
Al 0.8514 0.4011 0.2500
Al 0.7530 0.2470 0.0000
Al 0.7530 0.5060 0.0000
Al 0.4940 0.2470 0.0000
Al 0.2470 0.7530 0.0000
Al 0.5060 0.7530 0.0000
Al 0.2470 0.4940 0.0000
Al 0.2470 0.7530 0.5000
Al 0.2470 0.4940 0.5000
Al 0.5060 0.7530 0.5000
Al 0.7530 0.2470 0.5000
Al 0.4940 0.2470 0.5000
Al 0.7530 0.5060 0.5000
Al 0.6667 0.3333 0.8733
Al 0.3333 0.6667 0.8733
Al 0.3333 0.6667 0.1267
Al 0.6667 0.3333 0.1267
Al 0.3333 0.6667 0.3733
Al 0.6667 0.3333 0.3733
Al 0.6667 0.3333 0.6267
Al 0.3333 0.6667 0.6267
Al 0.8556 0.8556 0.7500
Al 0.1444 0.0000 0.7500
Al 0.0000 0.1443 0.7500
Al 0.1444 0.1444 0.2500
Al 0.8556 0.0000 0.2500
Al 0.0000 0.8557 0.2500
Cr 0.2701 0.2701 0.7500
Cr 0.7299 0.0000 0.7500
Cr 0.0000 0.7298 0.7500
Cr 0.7299 0.7299 0.2500
Cr 0.2701 0.0000 0.2500
Cr 0.0000 0.2702 0.2500
Cr 0.0000 0.0000 0.0000
Cr 0.0000 0.0000 0.5000

Results
VASP energy   -10.505 eV/atom
Energy of formation from the pure elements   -285 meV per atom
SG   P6_3/mcm, No. 193
Size of the total moment   13.4 μB/cell
Volume   16.884 A^3/atom

Question: Which of these has the lowest VASP energy?
Answer: Zr6Al2Co